Entry 1:
Nd3NbO7 | PBE | optimized geometry

Values from the calculation:
- Energy relative to the lowest polymorph listed for this composition: 0.0 kJ/mol of atoms
- Formation enthalpy at 0 K: -3644 meV per atom

abc: 7.6835 10.9887 7.7741
angles: 90.00 90.00 90.00
Last column: nearest neighbours and their distance in Å.
Positions (direct):
Nd: 0.0131 0.2500 0.2046  6 O 2.40-2.46
Nd: 0.2494 0.5237 0.0422  6 O 2.35-2.49
Nd: 0.2494 0.9763 0.0422  6 O 2.35-2.49
Nd: 0.2506 0.0237 0.5422  6 O 2.35-2.49
Nd: 0.2506 0.4763 0.5422  6 O 2.35-2.49
Nd: 0.4869 0.7500 0.7046  6 O 2.40-2.46
Nd: 0.5131 0.2500 0.2954  6 O 2.40-2.46
Nd: 0.7494 0.5237 0.4578  6 O 2.35-2.49
Nd: 0.7494 0.9763 0.4578  6 O 2.35-2.49
Nd: 0.7506 0.0237 0.9578  6 O 2.35-2.49
Nd: 0.7506 0.4763 0.9578  6 O 2.35-2.49
Nd: 0.9869 0.7500 0.7954  6 O 2.40-2.46
Nb: 0.0049 0.2500 0.7463  6 O 1.95-2.10
Nb: 0.4951 0.7500 0.2463  6 O 1.95-2.10
Nb: 0.5049 0.2500 0.7537  6 O 1.95-2.10
Nb: 0.9951 0.7500 0.2537  6 O 1.95-2.10
O: 0.0355 0.1268 0.9500  1 Nb 2.10
O: 0.0355 0.3732 0.9500  1 Nb 2.10
O: 0.0424 0.6135 0.4065  1 Nb 1.95
O: 0.0424 0.8865 0.4065  1 Nb 1.95
O: 0.2439 0.6171 0.7706  4 Nd 2.35-2.46
O: 0.2439 0.8829 0.7706  4 Nd 2.35-2.46
O: 0.2473 0.2500 0.6710  2 Nb 1.95-2.08
O: 0.2527 0.7500 0.1710  2 Nb 1.95-2.08
O: 0.2561 0.1171 0.2706  4 Nd 2.35-2.46
O: 0.2561 0.3829 0.2706  4 Nd 2.35-2.46
O: 0.4576 0.1135 0.9065  1 Nb 1.95
O: 0.4576 0.3865 0.9065  1 Nb 1.95
O: 0.4645 0.6268 0.4500  1 Nb 2.10
O: 0.4645 0.8732 0.4500  1 Nb 2.10
O: 0.5355 0.1268 0.5500  1 Nb 2.10
O: 0.5355 0.3732 0.5500  1 Nb 2.10
O: 0.5424 0.6135 0.0935  1 Nb 1.95
O: 0.5424 0.8865 0.0935  1 Nb 1.95
O: 0.7439 0.6171 0.7294  4 Nd 2.35-2.46
O: 0.7439 0.8829 0.7294  4 Nd 2.35-2.46
O: 0.7473 0.2500 0.8290  2 Nb 1.95-2.08
O: 0.7527 0.7500 0.3290  2 Nb 1.95-2.08
O: 0.7561 0.1171 0.2294  4 Nd 2.35-2.46
O: 0.7561 0.3829 0.2294  4 Nd 2.35-2.46
O: 0.9576 0.1135 0.5935  1 Nb 1.95
O: 0.9576 0.3865 0.5935  1 Nb 1.95
O: 0.9645 0.6268 0.0500  1 Nb 2.10
O: 0.9645 0.8732 0.0500  1 Nb 2.10

Entry 2:
NdNbO4 | PBE | optimized geometry

Values from the calculation:
- Formation enthalpy at 0 K: -3518 meV per atom

abc: 6.8504 6.8504 5.2798
angles: 111.51 111.51 114.35
Last column: nearest neighbours and their distance in Å.
Positions (direct):
Nd: 0.1273 0.8727 0.7500  8 O 2.45-2.49
Nd: 0.8727 0.1273 0.2500  8 O 2.45-2.49
Nb: 0.3880 0.6120 0.2500  4 O 1.88-1.92
Nb: 0.6120 0.3880 0.7500  4 O 1.88-1.92
O: 0.1368 0.5532 0.3415  1 Nb 1.88
O: 0.2184 0.2874 0.8181  1 Nb 1.92
O: 0.2874 0.2184 0.3181  1 Nb 1.92
O: 0.4468 0.8632 0.1585  1 Nb 1.88
O: 0.5532 0.1368 0.8415  1 Nb 1.88
O: 0.7126 0.7816 0.6819  1 Nb 1.92
O: 0.7816 0.7126 0.1819  1 Nb 1.92
O: 0.8632 0.4468 0.6585  1 Nb 1.88

Entry 3:
NdNb4O12 | PBE | optimized geometry

Values from the calculation:
- Formation enthalpy at 0 K: -3039 meV per atom

abc: 7.9571 5.5834 5.5834
angles: 89.43 90.00 90.00
Last column: nearest neighbours and their distance in Å.
Positions (direct):
Nd: 0.0000 0.0000 0.0000  8 O 2.49-2.62
Nb: 0.2591 0.4948 0.9914  6 O 1.94-2.09
Nb: 0.2591 0.9914 0.4948  6 O 1.94-2.09
Nb: 0.7409 0.4948 0.9914  6 O 1.94-2.09
Nb: 0.7409 0.9914 0.4948  6 O 1.94-2.09
O: 0.0000 0.0243 0.4445  2 Nb 2.09
O: 0.0000 0.4445 0.0243  2 Nb 2.09
O: 0.1971 0.7545 0.7545  2 Nb 2.01
O: 0.2279 0.2311 0.7515  2 Nb 1.99-2.02
O: 0.2279 0.7515 0.2311  2 Nb 1.99-2.02
O: 0.2716 0.2353 0.2353  2 Nb 1.98
O: 0.5000 0.5290 0.9521  2 Nb 1.94
O: 0.5000 0.9521 0.5290  2 Nb 1.94
O: 0.7284 0.2353 0.2353  2 Nb 1.98
O: 0.7721 0.2311 0.7515  2 Nb 1.99-2.02
O: 0.7721 0.7515 0.2311  2 Nb 1.99-2.02
O: 0.8029 0.7545 0.7545  2 Nb 2.01

Entry 4:
Nd2Nb2S7O30 | PBE | optimized geometry

Values from the calculation:
- Formation enthalpy at 0 K: -2266 meV per atom

abc: 13.0187 13.0187 7.2778
angles: 90.00 90.00 90.00
Last column: nearest neighbours and their distance in Å.
Positions (direct):
Nd: 0.1993 0.3007 0.4076  8 O 2.40-2.52
Nd: 0.3007 0.8007 0.5924  8 O 2.40-2.52
Nd: 0.6993 0.1993 0.5924  8 O 2.40-2.52
Nd: 0.8007 0.6993 0.4076  8 O 2.40-2.52
Nb: 0.1372 0.6372 0.9838  1 O 1.78
Nb: 0.3628 0.1372 0.0162  1 O 1.78
Nb: 0.6372 0.8628 0.0162  1 O 1.78
Nb: 0.8628 0.3628 0.9838  1 O 1.78
S: 0.0000 0.5000 0.3445  4 O 1.47-1.49
S: 0.0647 0.8245 0.2903  4 O 1.46-1.54
S: 0.1229 0.3771 0.8978  4 O 1.45-1.51
S: 0.1755 0.0647 0.7097  4 O 1.46-1.54
S: 0.3245 0.5647 0.2903  4 O 1.46-1.54
S: 0.3771 0.8771 0.1022  4 O 1.45-1.51
S: 0.4353 0.3245 0.7097  4 O 1.46-1.54
S: 0.5000 0.0000 0.6555  4 O 1.47-1.49
S: 0.5647 0.6755 0.7097  4 O 1.46-1.54
S: 0.6229 0.1229 0.1022  4 O 1.45-1.51
S: 0.6755 0.4353 0.2903  4 O 1.46-1.54
S: 0.8245 0.9353 0.7097  4 O 1.46-1.54
S: 0.8771 0.6229 0.8978  4 O 1.45-1.51
S: 0.9353 0.1755 0.2903  4 O 1.46-1.54
O: 0.0090 0.3593 0.8765  1 S 1.51
O: 0.0427 0.2065 0.3166  1 S 1.47
O: 0.0653 0.0757 0.7442  1 S 1.46
O: 0.0665 0.4335 0.4573  1 S 1.47
O: 0.0657 0.5657 0.2247  1 S 1.49
O: 0.0757 0.9347 0.2558  1 S 1.46
O: 0.1058 0.7679 0.1191  1 S 1.54
O: 0.1294 0.7924 0.4462  1 S 1.47
O: 0.1407 0.4910 0.8765  1 S 1.51
O: 0.1566 0.3434 0.0784  1 S 1.45
O: 0.1742 0.3258 0.7455  1 S 1.46
O: 0.1976 0.6976 0.7934  1 Nb 1.78
O: 0.2065 0.9573 0.6834  1 S 1.47
O: 0.2076 0.1294 0.5538  1 S 1.47
O: 0.2321 0.1058 0.8809  1 S 1.54
O: 0.2679 0.6058 0.1191  1 S 1.54
O: 0.2924 0.6294 0.4462  1 S 1.47
O: 0.2935 0.4573 0.3166  1 S 1.47
O: 0.3024 0.1976 0.2066  1 Nb 1.78
O: 0.3258 0.8258 0.2545  1 S 1.46
O: 0.3434 0.8434 0.9216  1 S 1.45
O: 0.3593 0.9910 0.1235  1 S 1.51
O: 0.3706 0.2924 0.5538  1 S 1.47
O: 0.3942 0.2679 0.8809  1 S 1.54
O: 0.4243 0.4347 0.7442  1 S 1.46
O: 0.4343 0.0657 0.7753  1 S 1.49
O: 0.4335 0.9335 0.5427  1 S 1.47
O: 0.4347 0.5757 0.2558  1 S 1.46
O: 0.4573 0.7065 0.6834  1 S 1.47
O: 0.4910 0.8593 0.1235  1 S 1.51
O: 0.5090 0.1407 0.1235  1 S 1.51
O: 0.5427 0.2935 0.6834  1 S 1.47
O: 0.5653 0.4243 0.2558  1 S 1.46
O: 0.5665 0.0665 0.5427  1 S 1.47
O: 0.5657 0.9343 0.7753  1 S 1.49
O: 0.5757 0.5653 0.7442  1 S 1.46
O: 0.6058 0.7321 0.8809  1 S 1.54
O: 0.6294 0.7076 0.5538  1 S 1.47
O: 0.6407 0.0090 0.1235  1 S 1.51
O: 0.6566 0.1566 0.9216  1 S 1.45
O: 0.6742 0.1742 0.2545  1 S 1.46
O: 0.6976 0.8024 0.2066  1 Nb 1.78
O: 0.7065 0.5427 0.3166  1 S 1.47
O: 0.7076 0.3706 0.4462  1 S 1.47
O: 0.7321 0.3942 0.1191  1 S 1.54
O: 0.7679 0.8942 0.8809  1 S 1.54
O: 0.7924 0.8706 0.5538  1 S 1.47
O: 0.7935 0.0427 0.6834  1 S 1.47
O: 0.8024 0.3024 0.7934  1 Nb 1.78
O: 0.8258 0.6742 0.7455  1 S 1.46
O: 0.8434 0.6566 0.0784  1 S 1.45
O: 0.8593 0.5090 0.8765  1 S 1.51
O: 0.8706 0.2076 0.4462  1 S 1.47
O: 0.8942 0.2321 0.1191  1 S 1.54
O: 0.9243 0.0653 0.2558  1 S 1.46
O: 0.9343 0.4343 0.2247  1 S 1.49
O: 0.9335 0.5665 0.4573  1 S 1.47
O: 0.9347 0.9243 0.7442  1 S 1.46
O: 0.9573 0.7935 0.3166  1 S 1.47
O: 0.9910 0.6407 0.8765  1 S 1.51

Entry 5:
Nd2ScNbO7 | PBE | optimized geometry

Values from the calculation:
- Formation enthalpy at 0 K: -3659 meV per atom

abc: 7.5296 7.5296 7.5296
angles: 120.51 119.56 89.94
Last column: nearest neighbours and their distance in Å.
Positions (direct):
Nd: 0.0000 0.0000 0.0000  4 O 2.33-2.53
Nd: 0.5000 0.0000 0.0000  2 O 2.28
Nd: 0.5000 0.0000 0.5000  4 O 2.33-2.53
Nd: 0.5000 0.5000 0.5000  2 O 2.28
Sc: 0.0000 0.0000 0.5000  6 O 2.12-2.14
Sc: 0.0000 0.5000 0.0000  6 O 2.12-2.14
Nb: 0.0000 0.5000 0.5000  6 O 2.00-2.04
Nb: 0.5000 0.5000 0.0000  6 O 2.00-2.04
O: 0.0885 0.4267 0.2665  1 Nb 2.00, 1 Sc 2.14
O: 0.0885 0.8221 0.6619  1 Nb 2.00, 1 Sc 2.14
O: 0.0933 0.8433 0.2500  2 Sc 2.12
O: 0.3209 0.5709 0.7500  2 Nb 2.04
O: 0.3398 0.1779 0.7665  1 Nb 2.00, 1 Sc 2.14
O: 0.3398 0.5733 0.1619  1 Nb 2.00, 1 Sc 2.14
O: 0.3774 0.1274 0.2500  4 Nd 2.28-2.33
O: 0.6226 0.8726 0.7500  4 Nd 2.28-2.33
O: 0.6602 0.4267 0.8381  1 Nb 2.00, 1 Sc 2.14
O: 0.6602 0.8221 0.2335  1 Nb 2.00, 1 Sc 2.14
O: 0.6791 0.4291 0.2500  2 Nb 2.04
O: 0.9067 0.1567 0.7500  2 Sc 2.12
O: 0.9115 0.1779 0.3381  1 Nb 2.00, 1 Sc 2.14
O: 0.9115 0.5733 0.7335  1 Nb 2.00, 1 Sc 2.14

Entry 6:
Sr3Nd2Nb10O30 | PBE | optimized geometry

Values from the calculation:
- Formation enthalpy at 0 K: -3210 meV per atom

abc: 3.9821 12.6801 12.6801
angles: 90.27 90.00 90.00
Last column: nearest neighbours and their distance in Å.
Positions (direct):
Sr: 0.0000 0.0000 0.0000  7 O 2.63-2.81
Sr: 0.0000 0.4920 0.8225  7 O 2.72-2.97
Sr: 0.0000 0.8225 0.4920  7 O 2.72-2.97
Nd: 0.0000 0.1630 0.6598  12 O 2.55-2.80
Nd: 0.0000 0.6598 0.1630  12 O 2.55-2.80
Nb: 0.5000 0.0791 0.4508  6 O 1.95-2.07
Nb: 0.5000 0.1632 0.1632  4 O 1.91-2.01
Nb: 0.5000 0.2390 0.8741  6 O 1.94-2.08
Nb: 0.5000 0.3697 0.5787  6 O 1.94-2.10
Nb: 0.5000 0.4508 0.0791  6 O 1.95-2.07
Nb: 0.5000 0.5787 0.3697  6 O 1.94-2.10
Nb: 0.5000 0.6583 0.6583  6 O 1.99-2.04
Nb: 0.5000 0.7404 0.9480  6 O 2.00-2.03
Nb: 0.5000 0.8741 0.2390  6 O 1.94-2.08
Nb: 0.5000 0.9480 0.7404  6 O 2.00-2.03
O: 0.0000 0.0750 0.4679  2 Nb 2.00
O: 0.0000 0.1468 0.1468  2 Nb 2.01
O: 0.0000 0.2428 0.8566  2 Nb 2.00
O: 0.0000 0.3522 0.5931  2 Nb 2.01
O: 0.0000 0.4679 0.0750  2 Nb 2.00
O: 0.0000 0.5931 0.3522  2 Nb 2.01
O: 0.0000 0.6572 0.6572  2 Nb 1.99
O: 0.0000 0.7401 0.9581  2 Nb 2.00
O: 0.0000 0.8566 0.2428  2 Nb 2.00
O: 0.0000 0.9581 0.7401  2 Nb 2.00
O: 0.5000 0.0242 0.5999  2 Nb 2.02-2.03
O: 0.5000 0.0986 0.7894  2 Nb 2.01-2.08
O: 0.5000 0.1441 0.9939  2 Nb 1.94-2.16
O: 0.5000 0.1478 0.3132  2 Nb 1.91-1.95
O: 0.5000 0.2175 0.5304  2 Nb 2.02
O: 0.5000 0.2868 0.7215  2 Nb 2.03-2.10
O: 0.5000 0.3131 0.1478  2 Nb 1.91-1.95
O: 0.5000 0.3907 0.9271  2 Nb 2.03-2.07
O: 0.5000 0.4467 0.4467  2 Nb 1.94
O: 0.5000 0.4978 0.6713  2 Nb 2.00-2.04
O: 0.5000 0.5304 0.2175  2 Nb 2.02
O: 0.5000 0.5999 0.0242  2 Nb 2.02-2.03
O: 0.5000 0.6508 0.8177  2 Nb 2.00-2.02
O: 0.5000 0.6713 0.4978  2 Nb 2.00-2.04
O: 0.5000 0.7215 0.2868  2 Nb 2.03-2.10
O: 0.5000 0.7894 0.0986  2 Nb 2.01-2.08
O: 0.5000 0.8177 0.6508  2 Nb 2.00-2.02
O: 0.5000 0.8893 0.8893  2 Nb 2.03
O: 0.5000 0.9271 0.3907  2 Nb 2.03-2.07
O: 0.5000 0.9939 0.1441  2 Nb 1.94-2.16

Entry 7:
Nd3NbSb5 | PBE | optimized geometry

Values from the calculation:
- Formation enthalpy at 0 K: -920 meV per atom

abc: 9.4704 9.4704 6.2612
angles: 90.00 90.00 120.00
Last column: nearest neighbours and their distance in Å.
Positions (direct):
Nd: 0.0000 0.3798 0.2500  9 Sb 3.19-3.40
Nd: 0.0000 0.6202 0.7500  9 Sb 3.19-3.40
Nd: 0.3798 0.0000 0.2500  9 Sb 3.19-3.40
Nd: 0.3798 0.3798 0.7500  9 Sb 3.19-3.40
Nd: 0.6202 0.0000 0.7500  9 Sb 3.19-3.40
Nd: 0.6202 0.6202 0.2500  9 Sb 3.19-3.40
Nb: 0.0000 0.0000 0.0000  6 Sb 2.93, 2 Nb 3.13
Nb: 0.0000 0.0000 0.5000  6 Sb 2.93, 2 Nb 3.13
Sb: 0.0000 0.2612 0.7500  2 Nb 2.93, 2 Nd 3.19
Sb: 0.0000 0.7388 0.2500  2 Nb 2.93, 2 Nd 3.19
Sb: 0.2612 0.0000 0.7500  2 Nb 2.93, 2 Nd 3.19
Sb: 0.2612 0.2612 0.2500  2 Nb 2.93, 2 Nd 3.19
Sb: 0.3333 0.6667 0.0000  2 Sb 3.13, 6 Nd 3.35
Sb: 0.3333 0.6667 0.5000  2 Sb 3.13, 6 Nd 3.35
Sb: 0.6667 0.3333 0.0000  2 Sb 3.13, 6 Nd 3.35
Sb: 0.6667 0.3333 0.5000  2 Sb 3.13, 6 Nd 3.35
Sb: 0.7388 0.0000 0.2500  2 Nb 2.93, 2 Nd 3.19
Sb: 0.7388 0.7388 0.7500  2 Nb 2.93, 2 Nd 3.19

Entry 8:
NbNi2 | PBE | optimized geometry

Values from the calculation:
- Formation enthalpy at 0 K: -180 meV per atom

abc: 4.7927 4.7927 4.7927
angles: 60.00 60.00 60.00
Last column: nearest neighbours and their distance in Å.
Positions (direct):
Nb: 0.1250 0.1250 0.1250  12 Ni 2.81, 4 Nb 2.93
Nb: 0.8750 0.8750 0.8750  12 Ni 2.81, 4 Nb 2.93
Ni: 0.0000 0.5000 0.5000  6 Ni 2.40
Ni: 0.5000 0.0000 0.5000  6 Ni 2.40
Ni: 0.5000 0.5000 0.0000  6 Ni 2.40
Ni: 0.5000 0.5000 0.5000  6 Ni 2.40

Q: Which value of formation enthalpy at 0 K does entry 7 give?
A: -920 meV per atom

Q: What is the formation enthalpy at 0 K in the fifth record?
A: -3659 meV per atom

Q: Which formula does entry 4 have?
A: Nd2Nb2S7O30

Q: Among the records above, which one has the highest formation enthalpy at 0 K?
A: NbNi2